# 1
Density functional theory data (PBE) for a geometry-optimized Na5CaZr3SiP5O24 structure.

a b c (Å): 9.191 9.156 22.957
angles (deg): 89.95 90.12 119.95
Fractional coordinates of all 117 atoms:
O 0.360 0.882 0.859
Ca 0.666 0.335 0.680
P 0.338 0.964 0.916
Na 0.646 0.014 0.242
O 0.124 0.642 0.360
Na 0.369 0.354 0.241
Na 0.633 0.625 0.746
O 0.527 0.700 0.255
O 0.692 0.154 0.750
Zr 0.335 0.665 0.017
O 0.452 0.356 0.141
O 0.512 0.853 0.074
O 0.310 0.848 0.968
Na 0.326 0.032 0.413
O 0.303 0.828 0.255
P 0.667 0.636 0.586
O 0.830 0.016 0.086
P 0.361 0.331 0.083
O 0.472 0.094 0.644
O 0.028 0.208 0.196
O 0.298 0.470 0.753
O 0.165 0.471 0.968
Si 0.627 0.661 0.917
O 0.176 0.200 0.698
Zr 0.992 0.994 0.858
P 0.286 0.293 0.752
O 0.173 0.704 0.753
O 0.023 0.821 0.696
O 0.690 0.537 0.535
P 0.004 0.299 0.250
O 0.145 0.477 0.574
O 0.173 0.475 0.254
Na 0.990 0.366 0.747
O 0.966 0.162 0.587
O 0.354 0.475 0.360
O 0.825 0.816 0.587
Na 0.999 0.000 0.494
Zr 0.667 0.339 0.484
Na 0.333 0.668 0.157
O 0.472 0.146 0.245
O 0.182 0.018 0.587
O 0.472 0.159 0.529
O 0.852 0.538 0.749
O 0.983 0.815 0.087
O 0.173 0.973 0.201
Zr 0.010 0.001 0.643
O 0.912 0.551 0.144
O 0.792 0.823 0.197
O 0.815 0.824 0.911
O 0.819 0.006 0.802
O 0.335 0.475 0.469
O 0.492 0.141 0.923
P 0.965 0.333 0.586
Na 0.331 0.304 0.924
O 0.508 0.365 0.420
P 0.666 0.029 0.086
Si 0.035 0.373 0.915
O 0.994 0.807 0.804
O 0.840 0.310 0.536
O 0.796 0.984 0.420
O 0.199 0.190 0.807
O 0.344 0.843 0.574
O 0.149 0.665 0.073
Zr 0.677 0.337 0.984
O 0.849 0.348 0.924
Zr 0.328 0.660 0.518
P 0.708 0.995 0.750
P 0.623 0.964 0.419
O 0.119 0.484 0.855
P 0.007 0.714 0.751
O 0.530 0.833 0.754
O 0.028 0.191 0.910
O 0.523 0.858 0.473
Si 0.368 0.032 0.584
O 0.631 0.486 0.924
Zr 0.000 0.001 0.146
O 0.643 0.090 0.144
O 0.909 0.365 0.644
O 0.463 0.315 0.749
Na 0.681 0.337 0.840
P 0.973 0.639 0.085
O 0.808 0.780 0.305
O 0.182 0.988 0.910
O 0.640 0.548 0.644
Na 0.981 0.987 0.004
O 0.034 0.823 0.418
O 0.789 0.975 0.693
Na 0.320 0.662 0.660
P 0.343 0.375 0.417
O 0.975 0.194 0.304
Zr 0.333 0.663 0.316
O 0.149 0.666 0.468
O 0.669 0.525 0.243
Zr 0.332 0.665 0.819
O 0.336 0.486 0.074
O 0.458 0.312 0.031
O 0.184 0.168 0.086
P 0.294 0.997 0.253
O 0.857 0.332 0.244
O 0.862 0.499 0.422
O 0.194 0.197 0.418
P 0.703 0.706 0.250
O 0.530 0.690 0.970
Na 0.987 0.634 0.242
O 0.224 0.021 0.310
Na 0.682 0.347 0.331
Ca 0.668 0.334 0.174
O 0.627 0.137 0.422
O 0.686 0.153 0.036
Na 0.659 0.976 0.584
O 0.511 0.635 0.857
Na 0.381 0.012 0.742
O 0.513 0.871 0.364
P 0.037 0.658 0.417
O 0.516 0.664 0.575
Ca 0.991 0.999 0.355
O 0.847 0.535 0.035

Calculated values
- ΔE_f: -11498 kJ/mol of formula units
- Symmetry: No. 1



# 2
Density functional theory data (PBE) for a geometry-optimized Na3CaSnP3O12 structure.

a b c (Å): 15.952 9.212 9.105
angles (deg): 90.00 125.33 90.00
Fractional coordinates of all 80 atoms:
O 0.908 0.139 0.251
Na 0.679 0.440 0.290
O 0.456 0.130 0.433
Ca 0.105 0.748 0.567
Na 0.256 0.278 0.494
O 0.738 0.194 0.241
O 0.565 0.349 0.748
O 0.456 0.870 0.933
O 0.238 0.694 0.241
O 0.934 0.945 0.089
O 0.152 0.317 0.899
O 0.852 0.587 0.748
O 0.352 0.871 0.586
O 0.058 0.963 0.435
P 0.356 0.914 0.761
O 0.352 0.913 0.248
O 0.065 0.151 0.248
P 0.356 0.086 0.261
O 0.047 0.326 0.558
Na 0.179 0.940 0.290
Na 0.004 0.387 0.246
O 0.565 0.651 0.248
O 0.047 0.674 0.058
P 0.649 0.120 0.243
Na 0.756 0.778 0.494
O 0.852 0.413 0.248
O 0.434 0.445 0.089
O 0.956 0.370 0.933
P 0.994 0.046 0.261
O 0.656 0.955 0.253
O 0.763 0.639 0.254
P 0.149 0.620 0.243
O 0.908 0.861 0.751
Na 0.256 0.722 0.994
Ca 0.605 0.248 0.567
Na 0.756 0.222 0.994
P 0.649 0.880 0.743
Ca 0.605 0.752 0.067
P 0.494 0.546 0.261
O 0.738 0.806 0.741
Na 0.679 0.560 0.790
O 0.656 0.045 0.753
Ca 0.105 0.252 0.067
O 0.763 0.361 0.754
O 0.065 0.849 0.748
O 0.956 0.630 0.433
Na 0.504 0.887 0.246
O 0.547 0.826 0.558
O 0.547 0.174 0.058
Na 0.179 0.060 0.790
O 0.852 0.629 0.086
O 0.558 0.537 0.935
O 0.434 0.555 0.589
Sn 0.896 0.243 0.444
O 0.652 0.817 0.899
O 0.408 0.639 0.251
O 0.652 0.183 0.399
O 0.156 0.455 0.253
P 0.856 0.586 0.261
O 0.156 0.545 0.753
O 0.152 0.683 0.399
Sn 0.396 0.743 0.444
Na 0.504 0.113 0.746
Sn 0.396 0.257 0.944
O 0.934 0.055 0.589
O 0.352 0.129 0.086
O 0.263 0.139 0.254
P 0.149 0.380 0.743
O 0.352 0.087 0.748
P 0.994 0.954 0.761
O 0.263 0.861 0.754
O 0.852 0.371 0.586
P 0.856 0.414 0.761
Sn 0.896 0.757 0.944
O 0.558 0.463 0.435
Na 0.004 0.613 0.746
O 0.058 0.037 0.935
O 0.238 0.306 0.741
P 0.494 0.454 0.761
O 0.408 0.361 0.751

Calculated values
- ΔE_f: -5161 kJ/mol of formula units
- Energy relative to the lowest polymorph listed for this composition: 0 meV per atom



# 3
Density functional theory data (PBE) for a geometry-optimized Na14Ca5Sn3P12O48 structure.

a b c (Å): 18.574 9.296 22.635
angles (deg): 89.99 90.00 119.82
Fractional coordinates of all 246 atoms:
O 0.507 0.817 0.411
P 0.005 0.707 0.753
Na 0.329 0.974 0.578
Na 0.185 0.358 0.246
Sn 0.669 0.672 0.315
O 0.757 0.687 0.252
Na 0.333 0.316 0.333
O 0.161 0.868 0.970
O 0.510 0.205 0.911
O 0.491 0.155 0.593
O 0.158 0.848 0.584
Ca 0.500 0.005 0.848
O 0.987 0.821 0.087
Ca 0.333 0.332 0.987
O 0.999 0.790 0.809
O 0.592 0.704 0.755
O 0.588 0.959 0.197
O 0.355 0.580 0.532
O 0.932 0.502 0.412
O 0.438 0.351 0.245
Na 0.820 0.627 0.746
O 0.319 0.500 0.912
O 0.577 0.467 0.583
P 0.313 0.660 0.914
O 0.737 0.334 0.745
P 0.487 0.321 0.584
Sn 0.500 0.001 0.155
O 0.158 0.468 0.085
O 0.155 0.484 0.754
P 0.170 0.373 0.414
O 0.592 0.147 0.088
P 0.341 0.027 0.084
O 0.815 0.477 0.920
P 0.987 0.321 0.584
O 0.576 0.679 0.084
O 0.710 0.131 0.531
Na 0.665 0.037 0.417
Na 0.659 0.652 0.665
O 0.020 0.824 0.697
O 0.926 0.554 0.027
Na 0.500 0.001 0.497
P 0.342 0.983 0.753
O 0.941 0.349 0.634
Ca 0.672 0.668 0.018
O 0.250 0.137 0.912
Na 0.682 0.012 0.746
Na 0.174 0.681 0.166
O 0.570 0.496 0.863
P 0.839 0.044 0.084
O 0.432 0.501 0.412
O 0.732 0.142 0.245
O 0.094 0.485 0.250
P 0.844 0.985 0.751
O 0.085 0.955 0.195
O 0.498 0.785 0.810
O 0.356 0.121 0.025
Ca 0.333 0.325 0.183
O 0.566 0.676 0.470
Na 0.999 0.000 0.497
Sn 0.994 0.994 0.152
O 0.177 0.482 0.357
O 0.904 0.788 0.912
P 0.507 0.706 0.754
O 0.434 0.578 0.031
O 0.017 0.217 0.196
O 0.394 0.777 0.307
O 0.923 0.038 0.088
Sn 0.500 0.004 0.657
O 0.230 0.140 0.243
Na 0.511 0.682 0.580
Na 0.494 0.634 0.246
P 0.340 0.653 0.589
O 0.764 0.873 0.077
O 0.819 0.138 0.414
O 0.500 0.220 0.308
O 0.389 0.000 0.810
O 0.210 0.288 0.032
O 0.058 0.497 0.866
Na 0.834 0.316 0.333
O 0.433 0.366 0.913
O 0.077 0.468 0.583
O 0.064 0.648 0.357
O 0.855 0.579 0.532
Na 0.657 0.969 0.081
P 0.486 0.652 0.088
O 0.149 0.819 0.251
Na 0.990 0.678 0.913
O 0.723 0.292 0.030
Na 0.683 0.685 0.162
Na 0.012 0.682 0.580
O 0.758 0.813 0.753
O 0.176 0.871 0.857
O 0.211 0.131 0.531
P 0.840 0.653 0.588
O 0.834 0.530 0.244
O 0.107 0.003 0.307
O 0.659 0.458 0.079
Ca 0.337 0.333 0.684
O 0.441 0.349 0.634
O 0.066 0.676 0.470
O 0.651 0.821 0.252
O 0.756 0.867 0.362
O 0.060 0.450 0.978
Ca 0.167 0.668 0.517
O 0.089 0.699 0.752
O 0.008 0.818 0.411
Sn 0.161 0.659 0.816
Na 0.515 0.345 0.077
P 0.148 0.307 0.753
P 0.169 0.966 0.914
O 0.658 0.848 0.584
Na 0.353 0.038 0.917
P 0.017 0.662 0.414
O 0.885 0.961 0.693
O 0.431 0.537 0.745
Na 0.982 0.984 0.997
Na 0.015 0.347 0.080
O 0.006 0.206 0.913
O 0.226 0.111 0.642
Na 0.182 0.012 0.746
Na 0.994 0.635 0.247
O 0.941 0.541 0.140
O 0.750 0.361 0.412
O 0.425 0.022 0.092
O 0.391 0.812 0.195
O 0.333 0.526 0.244
O 0.272 0.674 0.971
O 0.267 0.846 0.083
O 0.422 0.829 0.595
Na 0.829 0.974 0.579
Ca 0.995 0.003 0.852
O 0.265 0.682 0.585
O 0.163 0.456 0.470
P 0.814 0.966 0.416
O 0.328 0.546 0.643
P 0.173 0.027 0.588
O 0.659 0.489 0.753
O 0.520 0.222 0.196
Na 0.319 0.628 0.746
Na 0.483 0.670 0.916
O 0.250 0.361 0.412
Na 0.165 0.290 0.916
O 0.762 0.625 0.857
O 0.069 0.672 0.079
Na 0.353 0.667 0.417
O 0.677 0.482 0.357
Na 0.330 0.680 0.080
O 0.276 0.875 0.474
Na 0.687 0.361 0.246
P 0.517 0.662 0.414
O 0.893 0.776 0.309
O 0.900 0.983 0.412
Ca 0.834 0.331 0.185
O 0.256 0.812 0.752
O 0.929 0.537 0.746
O 0.611 0.212 0.807
O 0.922 0.828 0.594
Ca 0.167 0.667 0.017
O 0.663 0.456 0.470
Sn 0.670 0.669 0.818
O 0.858 0.163 0.028
P 0.509 0.314 0.252
O 0.594 0.486 0.251
Sn 0.999 0.003 0.657
O 0.444 0.547 0.142
P 0.679 0.318 0.086
O 0.094 0.219 0.696
Ca 0.998 0.001 0.347
Sn 0.169 0.671 0.314
O 0.109 0.207 0.808
O 0.726 0.336 0.142
O 0.592 0.199 0.411
P 0.173 0.318 0.088
O 0.255 0.866 0.362
O 0.521 0.825 0.698
O 0.564 0.454 0.974
O 0.607 0.004 0.308
O 0.226 0.341 0.143
O 0.257 0.686 0.252
P 0.673 0.973 0.918
O 0.324 0.125 0.746
O 0.938 0.354 0.246
P 0.519 0.378 0.917
O 0.236 0.334 0.746
P 0.648 0.988 0.253
O 0.595 0.222 0.696
O 0.085 0.151 0.093
Na 0.663 0.297 0.913
O 0.565 0.647 0.357
P 0.814 0.649 0.916
O 0.389 0.962 0.698
Na 0.981 0.294 0.417
Ca 0.334 0.334 0.487
Ca 0.667 0.668 0.517
P 0.673 0.027 0.588
O 0.891 0.819 0.197
O 0.319 0.137 0.414
O 0.765 0.682 0.584
O 0.939 0.288 0.525
Na 0.481 0.294 0.417
O 0.770 0.666 0.969
P 0.345 0.701 0.251
Ca 0.837 0.333 0.683
Na 0.159 0.654 0.664
Na 0.154 0.971 0.079
O 0.991 0.155 0.593
P 0.980 0.643 0.084
P 0.669 0.373 0.414
O 0.093 0.988 0.911
O 0.491 0.828 0.093
Ca 0.834 0.334 0.487
Na 0.854 0.668 0.416
O 0.597 0.998 0.912
O 0.400 0.816 0.911
O 0.327 0.118 0.134
O 0.828 0.126 0.138
O 0.895 0.003 0.804
P 0.313 0.965 0.416
O 0.823 0.125 0.746
O 0.662 0.871 0.973
O 0.829 0.547 0.643
P 0.846 0.704 0.252
Ca 0.498 0.001 0.347
Na 0.342 0.333 0.833
Na 0.659 0.341 0.579
O 0.726 0.111 0.642
Sn 0.833 0.332 0.985
O 0.256 0.644 0.858
P 0.650 0.312 0.752
Na 0.843 0.318 0.831
O 0.753 0.151 0.921
O 0.439 0.288 0.525
O 0.000 0.222 0.309
O 0.776 0.875 0.474
O 0.684 0.887 0.860
P 0.145 0.986 0.251
O 0.400 0.983 0.412
Na 0.500 0.001 0.998
O 0.085 0.017 0.593
O 0.092 0.199 0.411
Na 0.165 0.037 0.416
P 0.008 0.313 0.252
Na 0.159 0.341 0.579
P 0.014 0.375 0.921
O 0.927 0.369 0.921
O 0.585 0.016 0.593

Calculated values
- ΔE_f: -21530 kJ/mol of formula units
- Symmetry: No. 1



Q: Among the records above, which one has the lowest ΔE_f?
A: Na14Ca5Sn3P12O48



Q: Which of these has the highest ΔE_f?
A: Na3CaSnP3O12